Entry 1:
Material: Tm2MgS4
Method: DFT, PBE
State: optimized geometry

Geometry as CIF:
```
data_Tm2MgS4
_chemical_formula_sum 'Tm8 Mg4 S16'
_cell_length_a 7.837
_cell_length_b 7.297
_cell_length_c 11.303
_cell_angle_alpha 90.00
_cell_angle_beta 90.00
_cell_angle_gamma 90.00
_space_group_name_H-M_alt 'P 1'
_space_group_IT_number 1
loop_
_space_group_symop_operation_xyz
'x,y,z'
loop_
_atom_site_label
_atom_site_fract_x
_atom_site_fract_y
_atom_site_fract_z
Tm1 0.045 0.750 0.306
Tm2 0.955 0.250 0.694
Tm3 0.455 0.250 0.806
Tm4 0.545 0.750 0.194
Tm5 0.064 0.250 0.015
Tm6 0.936 0.750 0.985
Tm7 0.436 0.750 0.515
Tm8 0.564 0.250 0.485
Mg1 0.175 0.250 0.402
Mg2 0.825 0.750 0.598
Mg3 0.325 0.750 0.902
Mg4 0.675 0.250 0.098
S1 0.121 0.505 0.841
S2 0.879 0.495 0.159
S3 0.379 0.495 0.341
S4 0.621 0.505 0.659
S5 0.621 0.995 0.659
S6 0.379 0.005 0.341
S7 0.879 0.005 0.159
S8 0.121 0.995 0.841
S9 0.888 0.250 0.461
S10 0.112 0.750 0.539
S11 0.612 0.750 0.961
S12 0.388 0.250 0.039
S13 0.229 0.750 0.109
S14 0.771 0.250 0.891
S15 0.271 0.250 0.609
S16 0.729 0.750 0.391
```

Properties
As for the formation energy: -1.921 eV/atom. The value obtained for the uncorrected energy is -5.505 eV/atom. The calculated volume is 646.4 Å³ per cell.

=====

Entry 2:
Material: Tm2MgS4
Method: DFT, PBE
State: optimized geometry

Geometry as CIF:
```
data_Tm2MgS4
_chemical_formula_sum 'Tm4 Mg2 S8'
_cell_length_a 7.118
_cell_length_b 7.118
_cell_length_c 7.118
_cell_angle_alpha 110.43
_cell_angle_beta 110.43
_cell_angle_gamma 107.56
_space_group_name_H-M_alt 'P 1'
_space_group_IT_number 1
loop_
_space_group_symop_operation_xyz
'x,y,z'
loop_
_atom_site_label
_atom_site_fract_x
_atom_site_fract_y
_atom_site_fract_z
Tm1 0.242 0.625 0.117
Tm2 0.375 0.492 0.617
Tm3 0.508 0.125 0.883
Tm4 0.875 0.758 0.383
Mg1 0.750 0.250 0.500
Mg2 0.000 0.000 0.000
S1 0.130 0.760 0.761
S2 0.620 0.881 0.130
S3 0.240 0.001 0.370
S4 0.510 0.380 0.261
S5 0.751 0.490 0.870
S6 0.631 0.870 0.630
S7 0.999 0.369 0.239
S8 0.119 0.249 0.739
```

Properties
The calculation puts the maximum piezoelectric response at 0.7 C/m². As for the formation energy: -2.082 eV/atom. The value obtained for the uncorrected energy is -5.666 eV/atom. The calculated volume is 277.4 Å³ per cell.

=====

Entry 3:
Material: Tm2MgS4
Method: DFT, PBE
State: optimized geometry

Geometry as CIF:
```
data_Tm2MgS4
_chemical_formula_sum 'Tm16 Mg8 S32'
_cell_length_a 12.499
_cell_length_b 7.453
_cell_length_c 12.695
_cell_angle_alpha 90.00
_cell_angle_beta 90.00
_cell_angle_gamma 90.00
_space_group_name_H-M_alt 'P 1'
_space_group_IT_number 1
loop_
_space_group_symop_operation_xyz
'x,y,z'
loop_
_atom_site_label
_atom_site_fract_x
_atom_site_fract_y
_atom_site_fract_z
Tm1 0.109 0.883 0.686
Tm2 0.891 0.117 0.186
Tm3 0.391 0.883 0.186
Tm4 0.609 0.117 0.686
Tm5 0.128 0.381 0.326
Tm6 0.872 0.619 0.826
Tm7 0.372 0.381 0.826
Tm8 0.628 0.619 0.326
Tm9 0.134 0.629 0.992
Tm10 0.866 0.371 0.492
Tm11 0.366 0.629 0.492
Tm12 0.634 0.371 0.992
Tm13 0.134 0.129 0.991
Tm14 0.866 0.871 0.491
Tm15 0.366 0.129 0.491
Tm16 0.634 0.871 0.991
Mg1 0.110 0.381 0.690
Mg2 0.890 0.619 0.190
Mg3 0.390 0.381 0.190
Mg4 0.610 0.619 0.690
Mg5 0.126 0.878 0.322
Mg6 0.874 0.122 0.822
Mg7 0.374 0.878 0.822
Mg8 0.626 0.122 0.322
S1 0.014 0.877 0.877
S2 0.986 0.123 0.377
S3 0.486 0.877 0.377
S4 0.514 0.123 0.877
S5 0.034 0.376 0.131
S6 0.966 0.624 0.631
S7 0.466 0.376 0.631
S8 0.534 0.624 0.131
S9 0.021 0.374 0.870
S10 0.979 0.626 0.370
S11 0.479 0.374 0.370
S12 0.521 0.626 0.870
S13 0.041 0.874 0.136
S14 0.959 0.126 0.636
S15 0.459 0.874 0.636
S16 0.541 0.126 0.136
S17 0.213 0.880 0.504
S18 0.787 0.120 0.004
S19 0.287 0.880 0.004
S20 0.713 0.120 0.504
S21 0.214 0.380 0.518
S22 0.786 0.620 0.018
S23 0.286 0.380 0.018
S24 0.714 0.620 0.518
S25 0.232 0.129 0.777
S26 0.768 0.871 0.277
S27 0.268 0.129 0.277
S28 0.732 0.871 0.777
S29 0.232 0.632 0.777
S30 0.768 0.368 0.277
S31 0.268 0.632 0.277
S32 0.732 0.368 0.777
```

Properties
As for the formation energy: -2.154 eV/atom. The value obtained for the uncorrected energy is -5.738 eV/atom. The calculated volume is 1182.5 Å³ per cell.

=====

Entry 4:
Material: MgVS2
Method: DFT, PBE
State: optimized geometry

Geometry as CIF:
```
data_MgVS2
_chemical_formula_sum 'Mg1 V1 S2'
_cell_length_a 6.549
_cell_length_b 6.549
_cell_length_c 6.549
_cell_angle_alpha 32.00
_cell_angle_beta 32.00
_cell_angle_gamma 32.00
_space_group_name_H-M_alt 'P 1'
_space_group_IT_number 1
loop_
_space_group_symop_operation_xyz
'x,y,z'
loop_
_atom_site_label
_atom_site_fract_x
_atom_site_fract_y
_atom_site_fract_z
Mg1 0.832 0.832 0.832
V1 0.998 0.998 0.998
S1 0.591 0.591 0.591
S2 0.413 0.413 0.413
```

Properties
As for the formation energy: -1.155 eV/atom. The value obtained for the uncorrected energy is -5.642 eV/atom. The calculated volume is 70.1 Å³ per cell.

=====

Entry 5:
Material: MgVS2
Method: DFT, PBE
State: optimized geometry

Geometry as CIF:
```
data_MgVS2
_chemical_formula_sum 'Mg1 V1 S2'
_cell_length_a 7.503
_cell_length_b 7.503
_cell_length_c 7.752
_cell_angle_alpha 34.23
_cell_angle_beta 34.23
_cell_angle_gamma 47.09
_space_group_name_H-M_alt 'P 1'
_space_group_IT_number 1
loop_
_space_group_symop_operation_xyz
'x,y,z'
loop_
_atom_site_label
_atom_site_fract_x
_atom_site_fract_y
_atom_site_fract_z
Mg1 0.500 0.500 0.000
V1 0.000 0.000 0.000
S1 0.642 0.642 0.489
S2 0.358 0.358 0.511
```

Properties
As for the formation energy: -0.331 eV/atom. The value obtained for the uncorrected energy is -4.818 eV/atom. The calculated volume is 138.1 Å³ per cell.

=====

Entry 6:
Material: MgVS2
Method: DFT, PBE
State: optimized geometry

Geometry as CIF:
```
data_MgVS2
_chemical_formula_sum 'Mg1 V1 S2'
_cell_length_a 6.833
_cell_length_b 6.823
_cell_length_c 6.823
_cell_angle_alpha 31.65
_cell_angle_beta 31.63
_cell_angle_gamma 31.63
_space_group_name_H-M_alt 'P 1'
_space_group_IT_number 1
loop_
_space_group_symop_operation_xyz
'x,y,z'
loop_
_atom_site_label
_atom_site_fract_x
_atom_site_fract_y
_atom_site_fract_z
Mg1 0.861 0.854 0.854
V1 0.010 0.009 0.009
S1 0.732 0.734 0.734
S2 0.257 0.252 0.252
```

Properties
As for the formation energy: -1.165 eV/atom. The value obtained for the uncorrected energy is -5.652 eV/atom. The calculated volume is 77.7 Å³ per cell.